Entry 1:
VASP calculation (PBE) on DySi2Ir2 after structural relaxation.

```
10
Lattice="4.084 0.000 0.000 0.000 4.084 0.000 0.000 0.000 9.974" Properties=species:S:1:pos:R:3 pbc="T T T"
Dy 0.000 0.000 0.000
Dy 2.042 2.042 4.987
Si 0.000 0.000 3.778
Si 0.000 0.000 6.196
Si 2.042 2.042 1.209
Si 2.042 2.042 8.765
Ir 0.000 2.042 2.494
Ir 0.000 2.042 7.481
Ir 2.042 0.000 2.494
Ir 2.042 0.000 7.481
```

Computed properties:
Total DFT energy (no corrections)   -7.7197 eV per atom

=====

Entry 2:
VASP calculation (PBE) on Ho3GaC after structural relaxation.

```
5
Lattice="5.274 0.000 0.000 0.000 5.274 0.000 0.000 0.000 5.274" Properties=species:S:1:pos:R:3 pbc="T T T"
Ho 0.000 0.000 2.637
Ho 0.000 2.637 0.000
Ho 2.637 0.000 0.000
Ga 0.000 0.000 0.000
C 2.637 2.637 2.637
```

Computed properties:
Magnetic moment   0.00 μB/f.u.
Total DFT energy (no corrections)   -4.0132 eV per atom

=====

Entry 3:
VASP calculation (PBE) on MgAg4P4O12 after structural relaxation.

```
21
Lattice="4.314 0.000 0.000 -0.296 6.181 0.000 -0.421 -1.934 12.449" Properties=species:S:1:pos:R:3 pbc="T T T"
Mg 0.000 0.000 0.000
Ag -0.218 -0.953 9.977
Ag 0.109 1.006 3.571
Ag 1.465 4.375 5.060
Ag 1.723 3.534 10.459
P 0.202 1.868 7.903
P 1.470 2.891 0.538
P 2.353 1.230 6.010
P 3.627 4.211 2.102
O -0.105 3.811 3.410
O 0.373 4.087 0.850
O 0.822 1.574 0.899
O 0.843 3.185 8.206
O 1.280 0.879 7.142
O 1.706 2.051 4.902
O 1.658 1.238 11.670
O 2.507 3.120 1.772
O 3.016 -0.060 5.567
O 3.141 5.636 1.851
O 3.444 2.183 6.689
O 3.852 1.032 8.944
```

Computed properties:
MP2020-corrected energy   -6.42 eV per atom
Magnetic moment   0.00 μB/f.u.
Total DFT energy (no corrections)   -6.0316 eV per atom